Entry 1:
## Er4CrSe7 (PBE)

Data for a relaxed structure of Er4CrSe7.

Results
**Energy of formation**: -1.82 eV per atom
**MP2020-corrected energy**: -6.19 eV per atom
**Energy**: -5.9106 eV per atom

a b c (Å): 12.9892 3.9417 11.9289
angles (deg): 90.00 104.89 90.00
Last column: nearest neighbours and their distance in Å.
Space group Cm (No. 8)
Unique sites:
Er: 0.0000 0.0000 0.0000  7 Se 2.86-3.20
Er: 0.0819 0.5000 0.3608  6 Se 2.78-2.90
Er: 0.1960 0.5000 0.8023  6 Se 2.79-2.83
Er: 0.3903 0.0000 0.5993  7 Se 2.83-3.09
Cr: 0.3107 0.5000 0.2194  6 Se 2.60-2.73
Se: 0.0352 0.0000 0.7445  4 Er 2.82-2.96
Se: 0.1639 0.5000 0.0247  1 Cr 2.60, 3 Er 2.79-2.86
Se: 0.2033 0.0000 0.2905  2 Cr 2.67, 2 Er 2.78
Se: 0.2303 0.5000 0.5800  4 Er 2.80-2.83
Se: 0.3582 0.0000 0.8469  5 Er 2.83-3.09
Se: 0.4251 0.0000 0.1492  2 Cr 2.73, 3 Er 2.81-2.98
Se: 0.4483 0.5000 0.4325  1 Cr 2.71, 2 Er 2.90

***

Entry 2:
## Sm3AlCoS7 (PBE)

Data for a relaxed structure of Sm3AlCoS7.

Results
**Energy of formation**: -1.85 eV per atom
**MP2020-corrected energy**: -6.35 eV per atom
**Energy**: -6.0544 eV per atom

a b c (Å): 9.7334 9.7334 6.1726
angles (deg): 90.00 90.00 120.00
Last column: nearest neighbours and their distance in Å.
Space group P6_3 (No. 173)
Unique sites:
Sm: 0.1503 0.7760 0.0000  7 S 2.80-3.00
Al: 0.3333 0.6667 0.5753  4 S 2.23-2.24
Co: 0.0000 0.0000 0.1635  6 S 2.37-2.42
S: 0.0894 0.8730 0.4076  2 Co 2.37-2.42
S: 0.0935 0.5195 0.7238  1 Al 2.24
S: 0.3333 0.6667 0.2137  1 Al 2.23

***

Question: Which value of energy of formation does entry 2 give?
Answer: -1.85 eV per atom

***

Question: Which value of energy of formation does entry 1 give?
Answer: -1.82 eV per atom

***

Question: The lowest energy belongs to which entry?
Answer: Sm3AlCoS7

***

Question: Which of these has the lowest energy of formation?
Answer: Sm3AlCoS7